Below is a relaxed structure of NbP4S5Cl5, with properties calculated at the PBE-GGA level.

The total energy is -70.61 eV per formula unit. The symmetry is No. 14. The calculated density comes out at 1.99 Mg/m³.

```
NbP4S5Cl5
1.0
13.954 0.000 0.000
0.000 7.272 0.000
0.000 4.321 18.237
Cl S P Nb
20 20 16 4
Cartesian
5.209 5.539 11.416
3.224 8.430 17.692
9.802 1.893 7.105
10.730 3.163 0.546
8.745 6.054 6.822
1.768 3.378 2.297
13.197 5.692 0.545
12.186 8.215 15.941
3.753 6.270 8.573
0.757 5.901 17.693
6.220 3.741 8.574
4.152 9.700 11.133
11.129 4.054 16.224
9.729 6.275 0.874
11.202 8.435 9.993
4.225 5.319 17.363
10.201 5.323 9.665
7.734 7.852 9.663
2.752 3.158 8.244
2.825 7.539 2.014
12.557 5.738 12.863
1.396 5.855 5.374
12.256 4.771 4.277
8.141 6.979 16.551
6.588 1.312 1.871
7.882 10.232 13.200
6.071 1.361 5.038
0.906 3.522 14.157
8.373 3.578 3.744
13.048 8.071 4.081
1.698 6.822 13.960
12.789 4.819 7.432
5.581 8.015 14.493
5.812 4.614 1.686
8.675 6.931 13.396
7.366 10.281 16.367
13.565 8.121 7.248
0.389 3.473 10.989
1.165 6.775 10.805
5.279 4.662 4.841
0.107 7.231 12.604
5.022 2.705 2.078
2.394 4.878 13.489
9.371 8.876 13.867
13.847 4.363 5.633
11.999 6.727 7.040
7.706 1.550 3.684
8.931 8.888 16.159
0.729 7.883 5.435
1.954 4.866 11.197
13.224 3.710 12.802
6.247 10.043 14.554
6.870 5.070 3.486
11.560 6.715 4.748
7.084 6.523 14.752
4.583 2.717 4.371
4.279 4.263 9.660
2.698 2.103 0.542
9.675 7.330 8.577
11.256 9.491 17.696
```

=====

Below is a relaxed structure of NbP4S10Cl5, with properties calculated at the PBE-GGA level.

The total energy is -92.01 eV per formula unit. The symmetry is No. 2. The calculated density comes out at 1.91 Mg/m³.

```
NbP4S10Cl5
1.0
-8.395 -4.260 -4.185
2.007 -10.856 -3.961
-5.357 -8.149 7.539
P S Cl Nb
8 20 10 2
Cartesian
-5.667 -9.181 1.627
-3.645 -9.842 4.365
-6.341 -11.910 3.648
-6.883 -8.698 4.832
-5.404 -11.355 -4.254
-6.077 -14.084 -2.234
-4.862 -14.567 -5.439
-8.099 -13.423 -4.972
-4.361 -11.839 4.396
-7.384 -11.426 -5.003
-7.585 -10.697 4.860
-6.013 -18.466 1.977
-5.686 -8.518 -0.176
-6.974 -13.725 3.690
-6.844 -14.631 -6.180
-6.913 -7.973 2.843
-8.058 -14.144 -2.981
-6.375 -11.179 1.661
-3.687 -9.121 2.374
-4.770 -9.540 -4.297
-5.370 -12.086 -2.267
-5.732 -4.799 -2.583
-6.058 -14.747 -0.430
-4.160 -12.568 -5.466
-1.503 -9.214 -1.460
-4.832 -15.292 -3.449
-4.900 -8.634 5.573
-10.242 -14.051 0.853
-3.334 -15.473 2.582
-3.938 -5.026 3.413
-1.190 -13.346 -2.605
-2.793 -5.632 0.200
-2.508 -12.817 0.689
-8.410 -7.792 -3.189
-7.806 -18.239 -4.020
-9.237 -10.448 -1.295
-8.952 -17.633 -0.807
-10.555 -9.919 1.999
-9.807 -18.888 -2.514
-1.937 -4.377 1.907
```

=====

Below is a relaxed structure of NbP2S2Cl5, with properties calculated at the PBE-GGA level.

The total energy is -46.57 eV per formula unit. The symmetry is No. 14. The calculated density comes out at 2.17 Mg/m³.

```
NbP2S2Cl5
1.0
-13.297 1.251 -2.318
0.373 -4.626 -4.638
-4.790 -22.554 15.308
P S Cl Nb
16 16 40 8
Cartesian
-11.692 -21.634 9.661
-13.948 -13.976 5.689
-8.705 -4.980 0.611
-9.009 -20.950 7.742
-3.815 -16.005 7.148
-13.899 -9.924 1.204
-6.022 -4.295 -1.308
-8.228 -2.758 0.556
-2.294 -12.345 0.979
-3.767 -11.953 2.664
-15.420 -13.584 7.374
-2.315 -10.077 0.837
-9.486 -23.171 7.796
-8.619 -22.999 9.889
-15.400 -15.852 7.515
-9.095 -2.930 -1.537
-4.268 -10.085 1.733
-13.446 -15.845 6.619
-7.505 -21.282 9.241
-10.210 -4.647 -0.888
-11.533 -23.173 8.165
-2.529 -11.611 4.353
-3.891 -14.474 8.658
-3.550 -17.716 8.417
-13.823 -11.455 -0.306
-6.181 -2.756 0.187
-10.268 -22.385 11.076
-10.712 -20.040 8.609
-14.164 -8.213 -0.064
-7.447 -3.544 -2.723
-7.003 -5.889 -0.257
-15.185 -14.318 3.999
-5.494 -13.245 5.342
-10.338 -8.627 -1.667
-1.309 -4.522 -3.599
-3.364 -1.943 -2.358
-0.722 -7.325 -0.718
-7.234 -9.566 -0.963
-11.255 -6.989 1.699
-13.786 -19.805 5.804
-7.224 -11.922 2.907
-3.943 -7.675 -0.980
-2.378 -3.646 0.716
-10.490 -14.007 5.446
-3.909 -15.145 3.186
-3.765 -21.395 7.713
-9.240 -26.146 10.328
-13.805 -10.784 5.167
-9.968 -11.286 0.500
-10.269 -10.482 4.950
-9.461 -18.005 5.830
-14.350 -23.986 10.710
-11.615 -16.666 2.958
-7.746 -14.643 7.852
-6.892 -20.691 13.328
-8.253 -7.924 2.522
-7.445 -15.447 3.403
-13.771 -18.254 9.332
-10.823 -5.238 -4.975
-6.099 -9.263 5.394
-3.928 -6.124 2.549
-12.215 -2.342 -2.927
-12.220 -12.684 3.010
-7.376 -17.302 10.019
-13.949 -4.534 0.639
-8.474 0.217 -1.975
-16.405 -21.407 11.952
-10.480 -16.363 9.316
-6.459 -18.941 6.653
-16.992 -18.604 9.071
-5.499 -23.587 11.279
-15.337 -22.284 7.636
-11.844 -12.104 5.252
-7.159 -25.206 10.948
-5.871 -13.825 3.101
-8.138 -19.860 5.281
-15.617 -17.003 10.090
-2.098 -8.926 -1.737
-10.555 -0.723 -2.595
-9.577 -6.069 3.071
```

=====

Below is a relaxed structure of RbNb4Cl11, with properties calculated at the PBE-GGA level.

The total energy is -83.35 eV per formula unit. The symmetry is No. 51. The calculated density comes out at 3.51 Mg/m³.

```
RbNb4Cl11
1.0
-4.316 5.462 0.711
-5.275 -4.374 1.582
3.893 1.020 15.797
Cl Rb Nb
22 2 8
Cartesian
-5.166 -0.474 5.509
0.098 0.544 9.678
2.470 1.334 11.922
-7.129 1.214 3.005
-2.893 5.148 4.586
1.431 0.894 15.085
-2.529 -1.634 10.466
-0.778 4.463 9.742
0.508 4.800 14.960
-0.531 2.581 12.581
-3.114 1.880 10.444
-0.930 1.682 1.548
-2.583 0.227 7.646
0.356 2.019 6.766
-3.371 0.227 13.433
-4.502 3.392 2.217
-1.196 -1.285 15.873
-5.796 1.563 8.412
-3.169 3.741 7.624
-3.888 -0.114 2.353
-2.327 1.880 4.658
-1.810 2.222 15.737
-3.974 3.964 13.340
-1.724 -1.856 4.750
-6.302 -0.706 1.599
-3.288 1.793 0.695
0.846 2.743 10.403
-1.268 3.738 6.105
-1.342 2.303 8.593
-4.356 -0.196 9.497
1.692 2.965 13.836
-2.115 3.517 2.671
```

=====

Below is a relaxed structure of RbNb3VCl11, with properties calculated at the PBE-GGA level.

The total energy is -81.45 eV per formula unit. The symmetry is No. 62. The calculated density comes out at 3.29 Mg/m³.

```
RbNb3VCl11
1.0
6.896 0.000 0.000
0.000 13.653 0.000
0.000 0.000 17.247
Cl V Nb Rb
44 4 12 4
Cartesian
6.866 1.227 10.020
0.014 1.510 15.848
0.030 12.425 7.227
1.724 4.394 10.074
1.724 6.239 4.247
0.075 10.183 4.363
3.462 12.143 1.399
1.724 11.221 15.796
3.462 5.316 7.225
5.172 8.992 1.389
1.724 2.429 7.374
1.724 9.256 1.249
6.882 5.316 7.225
1.724 4.661 15.857
0.014 8.337 10.022
0.075 3.357 4.260
3.523 10.296 12.986
3.418 12.425 7.227
3.434 8.337 10.022
1.724 1.953 1.559
3.434 1.510 15.848
3.523 3.470 12.884
6.882 12.143 1.399
1.724 8.780 7.065
5.172 2.166 7.234
5.172 11.700 15.688
1.724 13.065 4.377
5.172 0.587 12.870
6.821 10.296 12.986
6.821 3.470 12.884
5.172 4.873 10.182
3.418 5.599 1.396
3.478 8.054 15.850
3.373 3.357 4.260
5.172 2.432 1.451
3.373 10.183 4.363
5.172 9.258 7.173
3.478 1.227 10.020
1.724 11.487 10.012
6.866 8.054 15.850
5.172 7.414 13.000
5.172 11.223 9.872
0.030 5.599 1.396
5.172 4.397 15.998
1.724 4.350 5.794
5.172 9.303 11.452
1.724 11.176 2.829
5.172 2.476 14.418
0.304 10.275 8.405
5.172 2.601 11.155
1.724 4.226 2.532
1.724 11.052 6.092
6.592 10.204 17.028
5.172 9.427 14.715
3.144 10.275 8.405
3.144 3.449 0.218
6.592 3.377 8.842
3.752 3.377 8.842
0.304 3.449 0.218
3.752 10.204 17.028
1.724 6.920 12.740
5.172 13.559 4.117
5.172 6.733 4.506
1.724 0.093 13.130
```

=====

Below is a relaxed structure of NbRu2Cl, with properties calculated at the PBE-GGA level.

The total energy is -27.83 eV per formula unit. The symmetry is No. 225. The calculated density comes out at 8.64 Mg/m³.

```
NbRu2Cl
1.0
-1.911 -3.941 0.935
-4.276 -0.157 1.323
-3.129 -1.675 -2.731
Nb Ru Cl
1 2 1
Cartesian
-4.658 -2.887 -0.236
-6.988 -4.330 -0.355
-2.329 -1.443 -0.118
0.000 0.000 0.000
```

=====

Below is a relaxed structure of Nb2Tl5S4Cl9, with properties calculated at the PBE-GGA level.

The total energy is -85.51 eV per formula unit. The symmetry is No. 71. The calculated density comes out at 4.88 Mg/m³.

```
Nb2Tl5S4Cl9
1.0
4.868 -2.487 8.401
-4.044 5.704 7.182
-3.031 -6.956 -6.549
S Cl Tl Nb
4 9 5 2
Cartesian
-0.643 -2.459 8.687
2.927 -1.827 8.368
-1.564 -1.281 0.347
-5.134 -1.913 0.666
-0.683 -4.113 5.621
0.587 -2.009 2.588
-5.207 -0.279 3.742
-2.794 -1.731 6.445
-1.524 0.373 3.412
-3.680 2.824 5.552
1.473 -6.564 3.482
3.000 -3.461 5.292
0.412 1.608 7.792
0.952 0.076 10.798
0.677 -0.997 5.596
-2.884 -2.743 3.437
0.919 -4.722 0.926
-3.159 -3.816 -1.764
0.749 2.921 14.154
0.076 0.295 1.429
```

=====

Below is a relaxed structure of NbSeCl9, with properties calculated at the PBE-GGA level.

The total energy is -39.29 eV per formula unit. The symmetry is No. 14. The calculated density comes out at 2.30 Mg/m³.

```
NbSeCl9
1.0
-15.000 12.837 -0.072
-7.448 -8.731 -5.146
-6.784 -7.883 7.830
Cl Nb Se
72 8 8
Cartesian
-20.513 -2.143 5.622
-15.508 -1.287 -2.862
-9.714 -2.766 0.119
-8.044 -5.916 2.033
-8.323 4.253 1.271
-23.820 1.306 -2.605
-19.037 -10.702 3.050
-8.417 -7.809 -0.954
-14.654 -8.308 1.450
-10.061 -5.394 -2.459
-17.107 3.770 -1.427
-12.936 -1.485 2.381
-14.578 4.531 1.162
-17.473 6.310 3.458
-11.821 -5.081 7.159
-22.308 -2.866 2.933
-16.762 7.846 0.000
-13.724 -2.490 5.474
-18.088 2.627 1.702
-15.552 -0.034 3.938
-16.296 -2.292 0.230
-12.125 -7.547 4.039
-17.762 -3.336 4.131
-10.195 6.925 -0.439
-15.491 11.053 -0.542
-20.510 -5.285 4.514
-20.909 -8.030 1.340
-18.348 -2.978 -2.342
-20.814 4.032 3.565
-12.763 8.285 1.098
-12.470 -11.623 2.612
-3.591 -2.638 -1.505
-13.490 -7.767 -2.404
-16.655 -5.491 -0.792
-19.170 1.617 5.071
-13.741 -14.830 3.153
-22.252 1.081 3.904
-4.479 -3.557 1.587
-11.759 -10.087 -0.846
-15.742 3.990 5.015
-16.469 -12.062 1.514
-11.144 -6.404 0.910
-20.327 3.156 -2.486
-9.611 0.516 1.163
-5.412 -5.083 5.217
-21.890 -1.707 -0.637
-25.988 -3.284 1.553
-8.722 1.508 -1.902
-19.684 5.153 0.191
-7.342 -2.070 3.249
-11.470 -0.441 -1.520
-12.577 1.714 3.404
-18.510 0.728 -0.980
-21.187 2.139 0.579
-19.621 -4.293 1.449
-9.548 -8.930 2.421
-13.680 -3.743 -1.326
-25.641 -1.139 4.117
-19.517 -1.012 2.493
-8.904 -6.933 5.098
-17.302 -7.050 2.935
-24.753 -0.220 1.024
-11.930 3.273 -0.323
-3.244 -0.493 1.059
-6.923 -0.911 -0.321
-8.719 -1.634 -3.010
-6.980 -4.858 -1.292
-14.606 -5.175 2.602
-10.884 -0.799 4.953
-17.410 1.304 -4.547
-14.625 1.398 0.009
-10.722 -4.505 3.592
-10.089 -6.777 3.131
-19.968 -3.137 3.409
-15.944 -3.508 -1.742
-13.287 -0.270 4.354
-11.885 -13.826 2.209
-17.346 10.049 0.403
-19.143 3.000 -0.519
-9.263 -0.640 -0.797
-5.468 -1.169 2.464
-23.764 -2.609 0.148
-18.016 -0.683 -3.756
-14.066 3.410 -0.668
-8.885 -5.718 -0.622
-15.166 -7.187 3.280
-11.216 -3.094 6.368
-20.347 1.941 3.233
```